## a
Below is crystalline FeB6O6 at its relaxed geometry, with properties calculated at the PBE+U level.

Results
Crystal system: monoclinic

```
FeB6O6
1.0
-3.095 -5.361 -0.995
2.575 -5.061 -0.497
-1.203 -2.084 3.073
Fe B O
1 6 6
direct
0.000 0.000 0.000
0.627 0.000 0.718
0.373 0.000 0.282
0.418 0.505 0.857
0.582 0.495 0.143
0.923 0.495 0.857
0.077 0.505 0.143
0.603 0.271 0.529
0.397 0.729 0.471
0.357 0.000 0.922
0.125 0.271 0.471
0.643 0.000 0.078
0.875 0.729 0.529
```

## b
Below is crystalline FeB6O6 at its relaxed geometry, with properties calculated at the PBE+U level.

Results
Crystal system: monoclinic

```
FeB6O6
1.0
-3.994 3.980 -5.905
-3.888 -0.049 -3.048
-5.264 4.780 2.169
Fe B O
1 6 6
direct
0.000 0.000 0.000
0.576 0.000 0.771
0.424 0.000 0.229
0.655 0.335 0.899
0.345 0.665 0.101
0.991 0.665 0.899
0.009 0.335 0.101
0.284 0.440 0.766
0.716 0.560 0.234
0.745 0.000 0.788
0.276 0.440 0.234
0.255 0.000 0.212
0.724 0.560 0.766
```

Best to worst by energy: b, a.

## a
Below is crystalline Fe3BO5 at its relaxed geometry, with properties calculated at the PBE+U level.

Results
Crystal system: orthorhombic

```
Fe3BO5
1.0
3.104 0.000 0.000
0.000 9.639 0.000
0.000 0.000 12.495
Fe B O
12 4 20
direct
0.500 0.500 0.000
0.500 0.000 0.500
0.500 0.744 0.386
0.000 0.001 0.725
0.000 0.999 0.275
0.000 0.499 0.225
0.500 0.756 0.886
0.000 0.501 0.775
0.000 0.500 0.500
0.500 0.256 0.614
0.500 0.244 0.114
0.000 0.000 0.000
0.500 0.734 0.638
0.500 0.766 0.138
0.500 0.234 0.862
0.500 0.266 0.362
0.500 0.659 0.542
0.500 0.377 0.861
0.000 0.112 0.141
0.000 0.118 0.583
0.500 0.339 0.265
0.500 0.623 0.139
0.000 0.382 0.083
0.000 0.612 0.359
0.000 0.888 0.859
0.000 0.618 0.917
0.000 0.882 0.417
0.500 0.839 0.235
0.500 0.341 0.458
0.500 0.661 0.735
0.500 0.159 0.958
0.500 0.841 0.042
0.000 0.388 0.641
0.500 0.123 0.361
0.500 0.161 0.765
0.500 0.877 0.639
```

## b
Below is crystalline Fe3BO5 at its relaxed geometry, with properties calculated at the PBE+U level.

Results
Crystal system: orthorhombic

```
Fe3BO5
1.0
-2.170 -5.657 -0.779
5.490 -1.056 -7.627
9.209 -4.532 7.256
Fe B O
24 8 40
direct
0.750 0.497 0.002
0.750 0.003 0.502
0.750 0.256 0.611
0.512 0.000 0.278
0.012 0.000 0.722
0.250 0.260 0.612
0.512 0.500 0.778
0.988 0.500 0.778
0.750 0.244 0.111
0.250 0.240 0.112
0.012 0.500 0.222
0.500 0.500 0.500
0.250 0.997 0.498
0.250 0.503 0.998
0.488 0.000 0.722
0.488 0.500 0.222
0.988 0.000 0.278
0.750 0.740 0.388
0.000 0.500 0.500
0.750 0.760 0.888
0.000 0.000 0.000
0.250 0.756 0.889
0.500 0.000 0.000
0.250 0.744 0.389
0.250 0.271 0.360
0.750 0.223 0.859
0.250 0.777 0.141
0.750 0.771 0.140
0.250 0.723 0.641
0.250 0.229 0.860
0.750 0.729 0.640
0.750 0.277 0.359
0.750 0.350 0.454
0.250 0.630 0.141
0.498 0.897 0.857
0.504 0.890 0.422
0.250 0.650 0.737
0.250 0.376 0.859
0.996 0.610 0.922
0.998 0.397 0.643
0.502 0.397 0.643
0.996 0.890 0.422
0.998 0.103 0.143
0.496 0.390 0.078
0.502 0.103 0.143
0.504 0.610 0.922
0.496 0.110 0.578
0.250 0.156 0.765
0.750 0.654 0.545
0.250 0.344 0.265
0.250 0.850 0.046
0.750 0.624 0.141
0.004 0.390 0.078
0.750 0.150 0.954
0.250 0.650 0.546
0.498 0.603 0.357
0.750 0.876 0.641
0.002 0.897 0.857
0.250 0.346 0.455
0.750 0.844 0.235
0.250 0.154 0.955
0.750 0.130 0.359
0.004 0.110 0.578
0.750 0.846 0.045
0.750 0.656 0.735
0.250 0.870 0.641
0.002 0.603 0.357
0.250 0.850 0.237
0.750 0.350 0.263
0.750 0.370 0.859
0.750 0.150 0.763
0.250 0.124 0.359
```

Best to worst by energy: a, b.

## a
Below is crystalline Li5Mn6B6O18 at its relaxed geometry, with properties calculated at the PBE+U level.

Results
Crystal system: monoclinic

```
Li5Mn6B6O18
1.0
3.184 8.268 0.000
-3.184 8.268 0.000
0.000 0.125 14.352
Li Mn B O
10 12 12 36
direct
0.895 0.895 0.992
0.395 0.395 0.991
0.421 0.421 0.360
0.434 0.434 0.650
0.934 0.934 0.649
0.145 0.145 0.492
0.645 0.645 0.491
0.171 0.171 0.860
0.184 0.184 0.149
0.685 0.685 0.151
0.067 0.571 0.501
0.571 0.067 0.501
0.080 0.586 0.815
0.586 0.080 0.815
0.601 0.095 0.184
0.095 0.601 0.184
0.321 0.817 0.001
0.817 0.321 0.001
0.330 0.836 0.315
0.836 0.330 0.315
0.350 0.846 0.684
0.846 0.350 0.684
0.005 0.496 0.002
0.496 0.005 0.002
0.249 0.249 0.333
0.746 0.746 0.332
0.250 0.250 0.666
0.752 0.752 0.664
0.255 0.747 0.502
0.747 0.255 0.502
0.002 0.002 0.164
0.500 0.500 0.166
0.999 0.999 0.833
0.497 0.497 0.832
0.755 0.755 0.428
0.255 0.255 0.430
0.762 0.762 0.759
0.257 0.257 0.762
0.318 0.318 0.609
0.820 0.820 0.605
0.320 0.320 0.279
0.812 0.812 0.272
0.078 0.578 0.961
0.578 0.078 0.961
0.422 0.422 0.127
0.925 0.925 0.126
0.419 0.419 0.794
0.924 0.924 0.791
0.202 0.664 0.448
0.664 0.202 0.448
0.747 0.242 0.600
0.242 0.747 0.600
0.506 0.506 0.928
0.005 0.005 0.930
0.012 0.012 0.259
0.507 0.507 0.262
0.070 0.070 0.105
0.568 0.568 0.109
0.070 0.070 0.779
0.562 0.562 0.772
0.328 0.828 0.461
0.828 0.328 0.461
0.172 0.172 0.627
0.675 0.675 0.626
0.174 0.174 0.291
0.669 0.669 0.294
0.952 0.415 0.948
0.415 0.952 0.948
0.496 0.993 0.100
0.993 0.496 0.100
```

## b
Below is crystalline Li5Mn6B6O18 at its relaxed geometry, with properties calculated at the PBE+U level.

Results
Crystal system: monoclinic

```
Li5Mn6B6O18
1.0
4.644 -6.799 3.988
9.032 0.736 1.255
3.211 2.189 11.195
Li Mn B O
10 12 12 36
direct
0.904 0.376 0.666
0.913 0.416 0.913
0.233 0.712 0.670
0.416 0.913 0.413
0.240 0.753 0.915
0.579 0.038 0.664
0.712 0.233 0.170
0.753 0.240 0.415
0.038 0.579 0.164
0.376 0.904 0.166
0.905 0.774 0.882
0.567 0.395 0.635
0.595 0.407 0.886
0.721 0.918 0.128
0.918 0.721 0.628
0.774 0.905 0.382
0.248 0.063 0.634
0.096 0.276 0.384
0.276 0.096 0.884
0.395 0.567 0.135
0.407 0.595 0.386
0.063 0.248 0.134
0.906 0.066 0.627
0.945 0.091 0.877
0.749 0.601 0.373
0.256 0.437 0.877
0.576 0.724 0.626
0.601 0.749 0.873
0.392 0.239 0.132
0.437 0.256 0.377
0.724 0.576 0.126
0.239 0.392 0.632
0.066 0.906 0.127
0.091 0.945 0.377
0.982 0.884 0.677
0.848 0.989 0.929
0.001 0.166 0.594
0.863 0.269 0.863
0.437 0.352 0.838
0.651 0.500 0.423
0.925 0.528 0.352
0.826 0.671 0.087
0.658 0.542 0.670
0.664 0.786 0.340
0.176 0.615 0.863
0.786 0.664 0.840
0.500 0.651 0.923
0.406 0.805 0.615
0.671 0.826 0.587
0.884 0.982 0.177
0.462 0.068 0.136
0.008 0.129 0.340
0.528 0.925 0.852
0.129 0.008 0.840
0.339 0.157 0.423
0.615 0.176 0.363
0.504 0.325 0.094
0.742 0.146 0.607
0.211 0.335 0.167
0.805 0.406 0.115
0.335 0.211 0.667
0.352 0.437 0.338
0.157 0.339 0.923
0.068 0.462 0.636
0.325 0.504 0.594
0.542 0.658 0.170
0.146 0.742 0.107
0.989 0.848 0.429
0.269 0.863 0.363
0.166 0.001 0.094
```

Best to worst by energy: b, a.

## a
Below is crystalline Li2Mn3B3O9 at its relaxed geometry, with properties calculated at the PBE+U level.

Results
Crystal system: triclinic

```
Li2Mn3B3O9
1.0
8.243 0.000 0.000
-4.112 7.180 0.000
-0.188 -0.231 15.847
Li Mn B O
10 15 15 45
direct
0.704 0.720 0.503
0.698 0.714 0.902
0.702 0.729 0.099
0.020 0.307 0.298
0.030 0.297 0.700
0.009 0.294 0.101
0.287 0.982 0.502
0.289 0.983 0.697
0.267 0.969 0.900
0.286 0.988 0.300
0.988 0.618 0.993
0.980 0.637 0.395
0.984 0.601 0.594
0.976 0.630 0.793
0.991 0.648 0.197
0.660 0.015 0.402
0.657 0.007 0.803
0.655 0.011 0.602
0.629 0.003 0.201
0.617 0.016 0.001
0.397 0.382 0.205
0.371 0.364 0.805
0.346 0.343 0.005
0.361 0.364 0.403
0.381 0.371 0.604
0.975 0.988 0.998
0.334 0.664 0.100
0.332 0.670 0.902
0.013 0.022 0.198
0.327 0.664 0.298
0.332 0.665 0.699
0.337 0.678 0.503
0.011 0.000 0.801
0.007 0.001 0.400
0.012 0.991 0.602
0.668 0.334 0.296
0.676 0.326 0.697
0.664 0.342 0.100
0.648 0.321 0.902
0.665 0.332 0.503
0.822 0.890 0.811
0.817 0.888 0.408
0.820 0.896 0.596
0.821 0.923 0.185
0.779 0.888 0.999
0.419 0.554 0.112
0.412 0.558 0.909
0.413 0.562 0.504
0.398 0.541 0.298
0.397 0.542 0.708
0.455 0.855 0.092
0.450 0.866 0.905
0.454 0.869 0.501
0.446 0.855 0.701
0.444 0.855 0.300
0.082 0.190 0.389
0.093 0.191 0.798
0.106 0.183 0.611
0.069 0.177 0.013
0.105 0.217 0.200
0.143 0.584 0.097
0.135 0.588 0.298
0.145 0.605 0.892
0.136 0.585 0.688
0.144 0.608 0.501
0.123 0.917 0.793
0.125 0.925 0.402
0.112 0.896 0.598
0.109 0.927 0.209
0.070 0.893 0.982
0.758 0.215 0.706
0.740 0.213 0.300
0.732 0.216 0.093
0.727 0.207 0.914
0.742 0.220 0.507
0.790 0.516 0.681
0.780 0.522 0.293
0.783 0.531 0.093
0.762 0.509 0.888
0.785 0.529 0.503
0.486 0.255 0.704
0.471 0.258 0.295
0.475 0.270 0.115
0.454 0.243 0.906
0.472 0.262 0.500
```

## b
Below is crystalline Li2Mn3B3O9 at its relaxed geometry, with properties calculated at the PBE+U level.

Results
Crystal system: triclinic

```
Li2Mn3B3O9
1.0
5.225 0.000 0.000
0.299 6.135 0.000
2.337 1.199 11.665
Li Mn B O
4 6 6 18
direct
0.138 0.739 0.074
0.862 0.261 0.926
0.459 0.085 0.399
0.541 0.915 0.601
0.442 0.076 0.827
0.763 0.418 0.171
0.099 0.741 0.494
0.558 0.924 0.173
0.901 0.259 0.506
0.237 0.582 0.829
0.682 0.700 0.947
0.318 0.300 0.053
0.654 0.662 0.389
0.011 0.022 0.278
0.346 0.338 0.611
0.989 0.978 0.722
0.431 0.784 0.929
0.831 0.575 0.872
0.245 0.269 0.949
0.755 0.731 0.051
0.169 0.425 0.128
0.569 0.216 0.071
0.882 0.560 0.410
0.591 0.652 0.281
0.500 0.778 0.470
0.166 0.930 0.189
0.093 0.044 0.381
0.755 0.097 0.269
0.118 0.440 0.590
0.500 0.222 0.530
0.907 0.956 0.619
0.409 0.348 0.719
0.834 0.070 0.811
0.245 0.903 0.731
```

Best to worst by energy: b, a.